No. 1
The following is a DFT calculation (GGA-PBE) of a relaxed structure of K6InP3.

a b c (Å): 8.8898 8.9413 10.0930
angles (deg): 82.47 107.13 118.57
Closest atoms and distances in Å follow each position.
Fractional positions:
In  0.2381  0.8224  0.7498  3 P 2.55-2.60
In  0.7619  0.1776  0.2502  3 P 2.55-2.60
K  0.1675  0.5499  0.3961  4 P 3.43-3.50, 5 K 3.54-3.84, 1 In 3.60
K  0.6322  0.8756  0.9939  4 P 3.33-3.67, 2 K 3.39-3.43, 2 In 3.49-3.52
K  0.3678  0.1244  0.0061  4 P 3.33-3.67, 2 K 3.39-3.43, 2 In 3.49-3.52
K  0.4083  0.1455  0.3918  4 P 3.24-3.46, 1 K 3.63
K  0.9597  0.2274  0.8943  3 P 3.35-3.47, 3 K 3.39-3.63
K  0.1687  0.1901  0.6111  4 P 3.29-3.60, 2 K 3.64-3.66, 1 In 3.66
K  0.8313  0.8099  0.3889  4 P 3.29-3.60, 2 K 3.64-3.66, 1 In 3.66
K  0.6342  0.4890  0.8618  3 P 3.29-3.39, 3 K 3.43-3.68
K  0.5917  0.8545  0.6082  4 P 3.24-3.46, 1 K 3.63
K  0.8325  0.4501  0.6039  4 P 3.43-3.50, 5 K 3.54-3.84, 1 In 3.60
K  0.3658  0.5110  0.1382  3 P 3.29-3.39, 3 K 3.43-3.68
K  0.0403  0.7726  0.1057  3 P 3.35-3.47, 3 K 3.39-3.63
P  0.4855  0.8873  0.2578  1 In 2.60
P  0.5145  0.1127  0.7422  1 In 2.60
P  0.0405  0.1699  0.2377  1 In 2.55
P  0.2686  0.5503  0.7582  1 In 2.56
P  0.9595  0.8301  0.7623  1 In 2.55
P  0.7314  0.4497  0.2418  1 In 2.56

Calculated values
- Calculated volume: 33.67 A^3/atom
- Offset from the most stable computed form: 3 meV/atom
- Formation enthalpy at 0 K: -0.33 eV/atom



No. 2
The following is a DFT calculation (GGA-PBE) of a relaxed structure of K5TbH8C8O16.

a b c (Å): 8.4913 8.4913 15.5881
angles (deg): 103.01 103.01 90.08
Closest atoms and distances in Å follow each position.
Fractional positions:
C  0.8972  0.6704  0.8387  1 H 1.11
C  0.9265  0.8179  0.1673  1 H 1.12
C  0.5758  0.0051  0.8515  1 H 1.11
C  0.4242  0.9949  0.1485  1 H 1.11
C  0.1821  0.0735  0.3327  1 H 1.12
C  0.3783  0.4898  0.8407  1 H 1.11
C  0.0051  0.5758  0.3515  1 H 1.11
C  0.0735  0.1821  0.8327  1 H 1.12
C  0.6704  0.8972  0.3387  1 H 1.11
C  0.8179  0.9265  0.6673  1 H 1.12
C  0.9949  0.4242  0.6485  1 H 1.11
C  0.3296  0.1028  0.6613  1 H 1.11
C  0.1028  0.3296  0.1613  1 H 1.11
C  0.4898  0.3783  0.3407  1 H 1.11
C  0.6217  0.5102  0.1593  1 H 1.11
C  0.5102  0.6217  0.6593  1 H 1.11
H  0.8109  0.9656  0.7396  1 C 1.12
H  0.0065  0.6031  0.2851  1 C 1.11
H  0.8340  0.6016  0.7698  1 C 1.11
H  0.6016  0.8340  0.2698  1 C 1.11
H  0.4041  0.3323  0.2742  1 C 1.11
H  0.3323  0.4041  0.7742  1 C 1.11
H  0.3969  0.9935  0.2149  1 C 1.11
H  0.1660  0.3984  0.2302  1 C 1.11
H  0.0344  0.1891  0.7604  1 C 1.12
H  0.9656  0.8109  0.2396  1 C 1.12
H  0.6031  0.0065  0.7851  1 C 1.11
H  0.3984  0.1660  0.7302  1 C 1.11
H  0.9935  0.3969  0.7149  1 C 1.11
H  0.1891  0.0344  0.2604  1 C 1.12
H  0.5959  0.6677  0.7258  1 C 1.11
H  0.6677  0.5959  0.2258  1 C 1.11
O  0.4369  0.4679  0.4028  1 C 1.26
O  0.9303  0.3210  0.5769  1 C 1.26
O  0.5631  0.5321  0.5972  1 C 1.26
O  0.0697  0.6790  0.4231  1 C 1.26
O  0.1650  0.3327  0.0957  1 C 1.26
O  0.2516  0.9703  0.6552  1 C 1.28
O  0.5592  0.0629  0.1508  1 C 1.27
O  0.0297  0.7484  0.8448  1 C 1.28
O  0.0496  0.2992  0.8928  1 C 1.26
O  0.3334  0.6348  0.8477  1 C 1.28
O  0.3327  0.1650  0.5957  1 C 1.26
O  0.4679  0.4369  0.9028  1 C 1.26
O  0.9371  0.4408  0.3492  1 C 1.27
O  0.9504  0.7008  0.1072  1 C 1.26
O  0.4408  0.9371  0.8492  1 C 1.27
O  0.7008  0.9504  0.6072  1 C 1.26
O  0.1405  0.0523  0.8465  1 C 1.28
O  0.2992  0.0496  0.3928  1 C 1.26
O  0.0629  0.5592  0.6508  1 C 1.27
O  0.5321  0.5631  0.0972  1 C 1.26
O  0.3210  0.9303  0.0769  1 C 1.26
O  0.7484  0.0297  0.3448  1 C 1.28
O  0.6790  0.0697  0.9231  1 C 1.26
O  0.6666  0.3652  0.1523  1 C 1.28
O  0.0523  0.1405  0.3465  1 C 1.28
O  0.6348  0.3334  0.3477  1 C 1.28
O  0.9703  0.2516  0.1552  1 C 1.28
O  0.8595  0.9477  0.1535  1 C 1.28
O  0.9477  0.8595  0.6535  1 C 1.28
O  0.3652  0.6666  0.6523  1 C 1.28
O  0.6673  0.8350  0.4043  1 C 1.26
O  0.8350  0.6673  0.9043  1 C 1.26
Tb  0.8024  0.1976  0.2500  8 O 2.38-2.43
Tb  0.1976  0.8024  0.7500  8 O 2.38-2.43
K  0.7976  0.4011  0.9878  6 O 2.86-3.09
K  0.2096  0.4032  0.5024  9 O 2.82-3.11
K  0.5989  0.2024  0.5122  6 O 2.86-3.09
K  0.4032  0.2096  0.0024  9 O 2.82-3.11
K  0.2024  0.5989  0.0122  6 O 2.86-3.09
K  0.5968  0.7904  0.9976  9 O 2.82-3.11
K  0.0000  0.0000  0.5000  8 O 2.84-3.05
K  0.4011  0.7976  0.4878  6 O 2.86-3.09
K  0.0000  0.0000  0.0000  8 O 2.84-3.05
K  0.7904  0.5968  0.4976  9 O 2.82-3.11

Calculated values
- Calculated volume: 14.02 A^3/atom
- Formation enthalpy at 0 K: -1.64 eV/atom



No. 3
The following is a DFT calculation (GGA-PBE) of a relaxed structure of ZnIrO3.

a b c (Å): 3.9070 3.9070 3.9070
angles (deg): 90.00 90.00 90.00
Closest atoms and distances in Å follow each position.
Fractional positions:
O  0.5000  0.5000  0.0000  2 Ir 1.95
O  0.0000  0.5000  0.5000  2 Ir 1.95
O  0.5000  0.0000  0.5000  2 Ir 1.95
Zn  0.0000  0.0000  0.0000  12 O 2.76
Ir  0.5000  0.5000  0.5000  6 O 1.95

Calculated values
- Calculated volume: 11.93 A^3/atom
- Formation enthalpy at 0 K: -0.71 eV/atom



No. 4
The following is a DFT calculation (GGA-PBE) of a relaxed structure of CeCu2Si2.

a b c (Å): 5.7013 5.7013 5.7013
angles (deg): 138.11 138.11 60.73
Closest atoms and distances in Å follow each position.
Fractional positions:
Si  0.3797  0.3797  0.0000  1 Si 2.37, 4 Cu 2.40
Si  0.6203  0.6203  0.0000  1 Si 2.37, 4 Cu 2.40
Cu  0.2500  0.7500  0.5000  4 Si 2.40
Cu  0.7500  0.2500  0.5000  4 Si 2.40
Ce  0.0000  0.0000  0.0000  8 Si 3.12, 8 Cu 3.19

Calculated values
- Calculated volume: 16.34 A^3/atom
- Formation enthalpy at 0 K: -0.55 eV/atom



No. 5
The following is a DFT calculation (GGA-PBE) of a relaxed structure of Zr5CuSb3.

a b c (Å): 8.6408 8.6408 5.8452
angles (deg): 90.00 90.00 120.00
Closest atoms and distances in Å follow each position.
Fractional positions:
Cu  0.0000  0.0000  0.0000  6 Zr 2.72, 2 Cu 2.92
Cu  0.0000  0.0000  0.5000  6 Zr 2.72, 2 Cu 2.92
Zr  0.2653  0.0000  0.7500  2 Cu 2.72, 3 Sb 2.95-3.02
Zr  0.0000  0.7347  0.2500  2 Cu 2.72, 3 Sb 2.95-3.02
Zr  0.6667  0.3333  0.5000  2 Zr 2.92, 6 Sb 3.06
Zr  0.3333  0.6667  0.5000  2 Zr 2.92, 6 Sb 3.06
Zr  0.6667  0.3333  0.0000  2 Zr 2.92, 6 Sb 3.06
Zr  0.0000  0.2653  0.7500  2 Cu 2.72, 3 Sb 2.95-3.02
Zr  0.7347  0.0000  0.2500  2 Cu 2.72, 3 Sb 2.95-3.02
Zr  0.3333  0.6667  0.0000  2 Zr 2.92, 6 Sb 3.06
Zr  0.2653  0.2653  0.2500  2 Cu 2.72, 3 Sb 2.95-3.02
Zr  0.7347  0.7347  0.7500  2 Cu 2.72, 3 Sb 2.95-3.02
Sb  0.0000  0.6152  0.7500  9 Zr 2.95-3.10
Sb  0.6152  0.0000  0.7500  9 Zr 2.95-3.10
Sb  0.3848  0.0000  0.2500  9 Zr 2.95-3.10
Sb  0.3848  0.3848  0.7500  9 Zr 2.95-3.10
Sb  0.6152  0.6152  0.2500  9 Zr 2.95-3.10
Sb  0.0000  0.3848  0.2500  9 Zr 2.95-3.10

Calculated values
- Calculated volume: 21.00 A^3/atom
- Formation enthalpy at 0 K: -0.75 eV/atom



No. 6
The following is a DFT calculation (GGA-PBE) of a relaxed structure of Ca2TlIn.

a b c (Å): 5.5056 5.5056 5.5056
angles (deg): 60.00 60.00 60.00
Closest atoms and distances in Å follow each position.
Fractional positions:
Ca  0.7500  0.7500  0.7500  4 Tl 3.37, 4 In 3.37
Ca  0.2500  0.2500  0.2500  4 In 3.37, 4 Tl 3.37
Tl  0.0000  0.0000  0.0000  8 Ca 3.37
In  0.5000  0.5000  0.5000  8 Ca 3.37

Calculated values
- Calculated volume: 29.50 A^3/atom
- Formation enthalpy at 0 K: -0.45 eV/atom



No. 7
The following is a DFT calculation (GGA-PBE) of a relaxed structure of Gd2MgIrO6.

a b c (Å): 5.7425 5.4198 9.4627
angles (deg): 55.23 90.00 90.00
Closest atoms and distances in Å follow each position.
Fractional positions:
O  0.0395  0.1408  0.7478  1 Ir 2.03, 1 Mg 2.06
O  0.8006  0.6293  0.0579  1 Ir 2.05, 1 Mg 2.10
O  0.5395  0.8592  0.7522  1 Ir 2.03, 1 Mg 2.06
O  0.6994  0.6293  0.5579  1 Ir 2.05, 1 Mg 2.10
O  0.3006  0.3707  0.4421  1 Ir 2.05, 1 Mg 2.10
O  0.3048  0.7520  0.0558  1 Ir 2.05, 1 Mg 2.08
O  0.8048  0.2480  0.4442  1 Ir 2.05, 1 Mg 2.08
O  0.6952  0.2480  0.9442  1 Ir 2.05, 1 Mg 2.08
O  0.1952  0.7520  0.5558  1 Ir 2.05, 1 Mg 2.08
O  0.4605  0.1408  0.2478  1 Ir 2.03, 1 Mg 2.06
O  0.1994  0.3707  0.9421  1 Ir 2.05, 1 Mg 2.10
O  0.9605  0.8592  0.2522  1 Ir 2.03, 1 Mg 2.06
Gd  0.0683  0.2678  0.2513  5 O 2.29-2.55
Gd  0.5683  0.7322  0.2487  5 O 2.29-2.55
Gd  0.4317  0.2678  0.7513  5 O 2.29-2.55
Gd  0.9317  0.7322  0.7487  5 O 2.29-2.55
Ir  0.5000  0.5000  0.0000  6 O 2.03-2.05
Ir  0.0000  0.5000  0.5000  6 O 2.03-2.05
Mg  0.0000  0.0000  0.0000  6 O 2.06-2.10
Mg  0.5000  0.0000  0.5000  6 O 2.06-2.10

Calculated values
- Calculated volume: 12.10 A^3/atom
- Formation enthalpy at 0 K: -2.92 eV/atom